Entry from the Materials Project database: an optimized crystal structure of Na3Co5O10 (PBE+U).

Unit cell a=4.946 b=11.281 c=7.787 alpha=87.62 beta=108.53 gamma=97.60
Fractional coordinates of all 36 atoms:
O: 0.708 0.095 0.018
Co: 0.605 0.003 0.205
O: 0.616 0.416 0.604
Na: 0.623 0.249 0.405
O: 0.106 0.910 0.583
Na: 0.318 0.751 0.800
O: 0.388 0.408 0.184
Na: 0.812 0.251 0.800
Co: 0.797 0.990 0.602
Co: 0.995 0.990 0.998
O: 0.905 0.908 0.217
Co: 0.300 0.498 0.604
Na: 0.111 0.744 0.407
O: 0.210 0.416 0.800
O: 0.491 0.095 0.582
Co: 0.398 0.015 0.800
Co: 0.909 0.507 0.800
O: 0.212 0.595 0.988
Co: 0.199 0.003 0.394
O: 0.589 0.586 0.800
O: 0.386 0.587 0.400
O: 0.684 0.908 0.801
Na: 0.505 0.744 0.194
O: 0.811 0.416 0.995
O: 0.786 0.587 0.200
O: 0.325 0.911 0.018
O: 0.004 0.408 0.416
O: 0.893 0.092 0.385
Co: 0.496 0.498 0.996
Co: 0.703 0.502 0.404
Co: 0.099 0.502 0.196
O: 0.088 0.094 0.800
O: 0.306 0.093 0.214
O: 0.487 0.908 0.382
Na: 0.019 0.249 0.195
O: 0.023 0.595 0.612

Total moment in μB per formula unit: 2.000
Energy relative to the lowest polymorph listed for this composition in kJ per mole of atoms: 6.5
Formation energy from the elements in eV per formula unit: -25.3
Space-group type: No. 1

Entry from the Materials Project database: an optimized crystal structure of Na6CoO4 (PBE+U).

Unit cell a=9.324 b=9.324 c=9.324 alpha=109.47 beta=109.47 gamma=109.47
Fractional coordinates of all 44 atoms:
O: 0.278 0.278 0.488
O: 0.512 0.790 0.790
Na: 0.538 0.271 0.538
Na: 0.000 0.733 0.462
Na: 0.267 0.729 0.267
O: 0.000 0.000 0.000
O: 0.210 0.722 0.000
O: 0.500 0.500 0.000
Co: 0.747 0.000 0.000
Na: 0.216 0.431 0.000
Na: 0.000 0.462 0.733
O: 0.722 0.210 0.000
Na: 0.538 0.538 0.271
Na: 0.784 0.784 0.215
Na: 0.267 0.267 0.729
Co: 0.253 0.253 0.253
Na: 0.569 0.569 0.785
O: 0.790 0.790 0.512
O: 0.210 0.000 0.722
O: 0.488 0.278 0.278
Co: 0.000 0.747 0.000
Na: 0.216 0.000 0.431
Na: 0.431 0.000 0.216
Na: 0.271 0.538 0.538
O: 0.000 0.722 0.210
O: 0.000 0.210 0.722
Na: 0.733 0.462 0.000
Na: 0.462 0.733 0.000
O: 0.500 0.000 0.500
Na: 0.733 0.000 0.462
Na: 0.569 0.785 0.569
Na: 0.785 0.569 0.569
Na: 0.784 0.215 0.784
O: 0.000 0.500 0.500
O: 0.790 0.512 0.790
Na: 0.729 0.267 0.267
O: 0.278 0.488 0.278
Co: 0.000 0.000 0.747
Na: 0.000 0.216 0.431
Na: 0.215 0.784 0.784
O: 0.722 0.000 0.210
Na: 0.431 0.216 0.000
Na: 0.000 0.431 0.216
Na: 0.462 0.000 0.733

Total moment in μB per formula unit: 3.000
Energy relative to the lowest polymorph listed for this composition in kJ per mole of atoms: 5.1
Formation energy from the elements in eV per formula unit: -15.3
Space-group type: No. 217
Largest piezoelectric modulus in C/m2: 5.4

Entry from the Materials Project database: an optimized crystal structure of Na7Co2O6 (PBE+U).

Unit cell a=7.899 b=7.899 c=10.642 alpha=76.06 beta=76.06 gamma=43.39
Fractional coordinates of all 30 atoms:
Na: 0.423 0.697 0.849
Na: 0.742 0.810 0.306
Na: 0.190 0.258 0.194
O: 0.394 0.847 0.313
Na: 0.761 0.573 0.595
O: 0.136 0.672 0.876
O: 0.864 0.328 0.124
Na: 0.303 0.577 0.651
Na: 0.697 0.423 0.349
Na: 0.239 0.427 0.405
O: 0.606 0.153 0.687
O: 0.343 0.004 0.919
Na: 0.427 0.239 0.905
Na: 0.577 0.303 0.151
Na: 0.258 0.190 0.694
O: 0.328 0.864 0.624
Co: 0.008 0.240 0.961
Na: 0.810 0.742 0.806
O: 0.996 0.657 0.581
Co: 0.760 0.992 0.539
Co: 0.992 0.760 0.039
O: 0.657 0.996 0.081
Na: 0.071 0.929 0.250
Na: 0.929 0.071 0.750
Co: 0.240 0.008 0.461
O: 0.153 0.606 0.187
O: 0.672 0.136 0.376
Na: 0.573 0.761 0.095
O: 0.004 0.343 0.419
O: 0.847 0.394 0.813

Formation energy from the elements in eV per formula unit: -22.7
Space-group type: No. 15

Entry from the Materials Project database: an optimized crystal structure of Na2CoO3 (PBE+U).

Unit cell a=7.960 b=7.960 c=10.560 alpha=79.29 beta=79.29 gamma=41.50
Fractional coordinates of all 24 atoms:
O: 0.055 0.282 0.943
O: 0.171 0.604 0.665
Na: 0.610 0.247 0.662
Na: 0.837 0.513 0.123
Na: 0.247 0.610 0.162
O: 0.604 0.171 0.165
Co: 0.284 0.963 0.974
Co: 0.037 0.716 0.526
Na: 0.163 0.487 0.877
O: 0.282 0.055 0.443
O: 0.771 0.406 0.612
O: 0.829 0.396 0.335
Co: 0.716 0.037 0.026
O: 0.718 0.945 0.557
O: 0.594 0.229 0.888
O: 0.406 0.771 0.112
Na: 0.487 0.163 0.377
O: 0.396 0.829 0.835
Co: 0.963 0.284 0.474
Na: 0.390 0.753 0.338
Na: 0.513 0.837 0.623
O: 0.229 0.594 0.388
O: 0.945 0.718 0.057
Na: 0.753 0.390 0.838

Total moment in μB per formula unit: 1.002
Energy relative to the lowest polymorph listed for this composition in kJ per mole of atoms: 17.5
Formation energy from the elements in eV per formula unit: -8.1
Space-group type: No. 15

Entry from the Materials Project database: an optimized crystal structure of Na4CoO3 (PBE+U).

Unit cell a=6.268 b=6.268 c=8.220 alpha=68.80 beta=68.80 gamma=55.07
Fractional coordinates of all 16 atoms:
Na: 0.440 0.098 0.024
Na: 0.476 0.894 0.712
O: 0.027 0.007 0.731
O: 0.258 0.359 0.769
Na: 0.894 0.476 0.212
Na: 0.649 0.328 0.616
O: 0.007 0.027 0.231
Na: 0.328 0.649 0.116
O: 0.359 0.258 0.269
Co: 0.705 0.007 0.313
O: 0.695 0.685 0.954
O: 0.685 0.695 0.454
Na: 0.927 0.242 0.935
Na: 0.098 0.440 0.524
Co: 0.007 0.705 0.813
Na: 0.242 0.927 0.435

Formation energy from the elements in eV per formula unit: -11.8
Space-group type: No. 9
Largest piezoelectric modulus in C/m2: 1.2

Entry from the Materials Project database: an optimized crystal structure of Na2CoO3 (PBE+U).

Unit cell a=5.421 b=5.988 c=6.606 alpha=111.78 beta=95.49 gamma=96.24
Fractional coordinates of all 12 atoms:
O: 0.211 0.551 0.313
O: 0.694 0.928 0.379
O: 0.214 0.924 0.134
Na: 0.784 0.777 0.016
O: 0.789 0.449 0.687
Na: 0.939 0.753 0.572
Na: 0.061 0.247 0.428
Co: 0.350 0.834 0.333
Na: 0.216 0.223 0.984
Co: 0.650 0.166 0.667
O: 0.786 0.076 0.866
O: 0.306 0.072 0.621

Total moment in μB per formula unit: 4.000
Energy relative to the lowest polymorph listed for this composition in kJ per mole of atoms: 11.6
Formation energy from the elements in eV per formula unit: -8.4
Space-group type: No. 2

Entry from the Materials Project database: an optimized crystal structure of Na2CoO3 (PBE+U).

Unit cell a=10.008 b=4.956 c=6.430 alpha=85.93 beta=90.00 gamma=90.00
Fractional coordinates of all 24 atoms:
O: 0.188 0.258 0.736
O: 0.083 0.764 0.358
O: 0.550 0.216 0.592
Na: 0.600 0.727 0.115
Na: 0.770 0.257 0.358
Co: 0.035 0.166 0.841
Co: 0.465 0.166 0.341
Co: 0.535 0.834 0.659
O: 0.583 0.236 0.142
O: 0.812 0.742 0.264
O: 0.050 0.784 0.908
Na: 0.400 0.273 0.885
Na: 0.100 0.273 0.385
Na: 0.730 0.257 0.858
Na: 0.900 0.727 0.615
O: 0.312 0.258 0.236
O: 0.917 0.236 0.642
Na: 0.230 0.743 0.642
Co: 0.965 0.834 0.159
O: 0.950 0.216 0.092
Na: 0.270 0.743 0.142
O: 0.417 0.764 0.858
O: 0.450 0.784 0.408
O: 0.688 0.742 0.764

Total moment in μB per formula unit: 3.000
Energy relative to the lowest polymorph listed for this composition in kJ per mole of atoms: 7.9
Formation energy from the elements in eV per formula unit: -8.7
Space-group type: No. 14

Entry from the Materials Project database: an optimized crystal structure of Na8Co5O14 (PBE+U).

Unit cell a=10.322 b=8.264 c=8.466 alpha=112.55 beta=103.75 gamma=103.29
Fractional coordinates of all 54 atoms:
O: 0.235 0.311 0.393
O: 0.643 0.350 0.391
O: 0.901 0.182 0.105
Na: 0.666 0.012 0.442
Co: 0.252 0.829 0.137
O: 0.713 0.484 0.791
Co: 0.766 0.339 0.610
Na: 0.635 0.840 0.704
O: 0.168 0.125 0.694
Na: 0.015 0.107 0.373
Na: 0.648 0.157 0.151
Na: 0.985 0.893 0.627
O: 0.765 0.689 0.607
O: 0.745 0.590 0.147
Co: 0.748 0.171 0.863
O: 0.396 0.810 0.371
O: 0.911 0.240 0.566
Na: 0.352 0.843 0.849
O: 0.357 0.650 0.609
Co: 0.164 0.529 0.966
O: 0.197 0.229 0.041
Co: 0.234 0.661 0.390
Na: 0.416 0.297 0.709
Co: 0.105 0.333 0.169
Co: 0.836 0.471 0.034
O: 0.037 0.648 0.073
O: 0.832 0.875 0.306
O: 0.287 0.516 0.209
Na: 0.500 0.500 0.500
Na: 0.000 0.000 0.000
O: 0.432 0.977 0.163
O: 0.338 0.692 0.021
Co: 0.934 0.774 0.206
O: 0.143 0.935 0.250
O: 0.963 0.352 0.927
Co: 0.895 0.667 0.831
O: 0.989 0.528 0.737
O: 0.011 0.472 0.263
Na: 0.124 0.432 0.561
Na: 0.365 0.160 0.296
O: 0.662 0.308 0.979
O: 0.568 0.023 0.837
O: 0.255 0.410 0.853
Na: 0.526 0.618 0.896
O: 0.099 0.818 0.895
O: 0.604 0.190 0.629
O: 0.803 0.771 0.959
Na: 0.334 0.988 0.558
Na: 0.584 0.703 0.291
O: 0.857 0.065 0.750
O: 0.089 0.760 0.434
Na: 0.876 0.568 0.439
Na: 0.474 0.382 0.104
Co: 0.066 0.226 0.794

Total moment in μB per formula unit: 14.002
Energy relative to the lowest polymorph listed for this composition in kJ per mole of atoms: 71.4
Formation energy from the elements in eV per formula unit: -18.3
Space-group type: No. 2

Entry from the Materials Project database: an optimized crystal structure of Na4CoO4 (PBE+U).

Unit cell a=6.048 b=10.073 c=17.835 alpha=88.92 beta=90.00 gamma=90.00
Fractional coordinates of all 72 atoms:
O: 0.888 0.540 0.619
Co: 0.079 0.475 0.876
Co: 0.567 0.069 0.867
Na: 0.681 0.548 0.942
O: 0.015 0.389 0.790
O: 0.581 0.136 0.443
O: 0.521 0.629 0.048
Na: 0.664 0.902 0.993
Na: 0.664 0.802 0.634
O: 0.479 0.629 0.548
Na: 0.190 0.694 0.628
Na: 0.307 0.949 0.754
O: 0.499 0.610 0.210
Na: 0.122 0.592 0.246
O: 0.484 0.151 0.779
O: 0.504 0.357 0.624
O: 0.537 0.892 0.366
Na: 0.355 0.687 0.823
Na: 0.157 0.651 0.997
O: 0.024 0.646 0.370
Na: 0.403 0.387 0.764
O: 0.375 0.482 0.885
O: 0.985 0.129 0.129
Na: 0.837 0.976 0.453
O: 0.023 0.400 0.460
O: 0.496 0.357 0.124
O: 0.976 0.646 0.870
Na: 0.645 0.687 0.323
Co: 0.921 0.475 0.376
Co: 0.941 0.954 0.126
O: 0.015 0.129 0.629
Na: 0.336 0.802 0.134
O: 0.625 0.482 0.385
O: 0.641 0.930 0.124
O: 0.039 0.856 0.048
Na: 0.597 0.387 0.264
Na: 0.163 0.976 0.953
O: 0.978 0.853 0.708
Na: 0.878 0.592 0.746
Na: 0.661 0.328 0.498
Co: 0.591 0.529 0.624
O: 0.961 0.856 0.548
O: 0.857 0.044 0.885
Na: 0.412 0.146 0.643
Na: 0.888 0.200 0.357
Na: 0.836 0.847 0.825
O: 0.143 0.044 0.385
Co: 0.409 0.529 0.124
Na: 0.813 0.256 0.710
Na: 0.164 0.847 0.325
Na: 0.123 0.363 0.581
O: 0.985 0.389 0.290
Na: 0.810 0.694 0.128
Na: 0.336 0.902 0.493
Na: 0.319 0.548 0.442
Na: 0.877 0.363 0.081
Na: 0.693 0.949 0.254
Na: 0.187 0.256 0.210
Na: 0.339 0.328 0.998
O: 0.359 0.930 0.624
O: 0.112 0.540 0.119
O: 0.463 0.892 0.866
O: 0.977 0.400 0.960
Co: 0.059 0.954 0.626
Na: 0.112 0.200 0.857
O: 0.501 0.610 0.710
Co: 0.433 0.069 0.367
O: 0.516 0.151 0.279
O: 0.419 0.136 0.943
Na: 0.843 0.651 0.497
O: 0.022 0.853 0.208
Na: 0.588 0.146 0.143

Total moment in μB per formula unit: 5.000
Formation energy from the elements in eV per formula unit: -13.6
Space-group type: No. 7

Entry from the Materials Project database: an optimized crystal structure of Na2CoO3 (PBE+U).

Unit cell a=6.094 b=6.360 c=5.111 alpha=89.52 beta=88.99 gamma=61.37
Fractional coordinates of all 12 atoms:
O: 0.428 0.715 0.492
O: 0.564 0.268 0.986
O: 0.119 0.000 0.904
Na: 0.835 0.682 0.520
Co: 0.842 0.000 0.049
Na: 0.516 0.318 0.520
O: 0.143 0.285 0.492
O: 0.832 0.732 0.986
Na: 0.487 0.665 0.013
Co: 0.185 0.000 0.538
O: 0.896 0.000 0.403
Na: 0.153 0.335 0.013

Total moment in μB per formula unit: 2.000
Energy relative to the lowest polymorph listed for this composition in kJ per mole of atoms: 6.8
Formation energy from the elements in eV per formula unit: -8.7
Space-group type: No. 8

Entry from the Materials Project database: an optimized crystal structure of Na3Co5O10 (PBE+U).

Unit cell a=4.915 b=9.069 c=9.069 alpha=75.98 beta=84.96 gamma=95.04
Fractional coordinates of all 36 atoms:
Co: 0.501 0.103 0.097
O: 0.186 0.987 0.813
O: 0.804 0.611 0.788
O: 0.686 0.487 0.313
O: 0.804 0.012 0.189
Co: 0.001 0.603 0.597
Na: 0.913 0.149 0.651
Co: 0.499 0.297 0.302
O: 0.706 0.092 0.909
O: 0.304 0.512 0.689
Na: 0.416 0.450 0.953
Na: 0.416 0.847 0.350
Na: 0.916 0.347 0.850
O: 0.706 0.891 0.708
Co: 0.502 0.904 0.896
O: 0.191 0.190 0.007
O: 0.307 0.712 0.888
Co: 0.999 0.797 0.802
O: 0.691 0.690 0.507
O: 0.807 0.412 0.588
Na: 0.916 0.950 0.453
Co: 0.001 0.203 0.197
O: 0.206 0.592 0.409
Co: 0.999 0.998 0.003
O: 0.307 0.912 0.088
O: 0.691 0.293 0.110
O: 0.303 0.313 0.487
O: 0.206 0.391 0.208
Co: 0.501 0.703 0.697
Co: 0.499 0.498 0.503
O: 0.191 0.793 0.610
Na: 0.413 0.649 0.151
O: 0.807 0.212 0.388
Co: 0.002 0.404 0.396
O: 0.803 0.813 0.987
O: 0.304 0.111 0.288

Energy relative to the lowest polymorph listed for this composition in kJ per mole of atoms: 0.0
Formation energy from the elements in eV per formula unit: -26.5

no.,corrected total energy (MP2020 scheme) (eV/atom),volume (Å³/f.u.)
1,-6.348,204
2,-4.561,156
3,-5.055,220
4,-5.443,109
5,-4.882,121
6,-5.505,98
7,-5.543,80
8,-4.951,302
9,-5.090,136
10,-5.555,87
11,-6.415,194